[1]
A plane-wave DFT calculation with GGA-PBE was carried out for a relaxed structure of OsW2.

Geometry as extended XYZ:
```
30
Lattice="9.7125 0.0000 0.0000 0.0000 9.7125 0.0000 0.0000 0.0000 5.0047" Properties=species:S:1:pos:R:3 pbc="T T T"
Os 4.8563 4.8563 2.5023
Os 0.0000 0.0000 0.0000
Os 4.1898 2.2930 2.5023
Os 5.5227 7.4195 2.5023
Os 0.6664 7.1493 0.0000
Os 9.0461 2.5632 0.0000
Os 2.2930 4.1898 2.5023
Os 7.4195 5.5227 2.5023
Os 7.1493 0.6664 0.0000
Os 2.5632 9.0461 0.0000
W 1.0065 8.7060 2.5023
W 8.7060 1.0065 2.5023
W 3.8498 3.8498 0.0000
W 5.8627 5.8627 0.0000
W 3.5841 9.3501 2.5023
W 6.1284 0.3624 2.5023
W 1.2722 4.4939 0.0000
W 8.4403 5.2186 0.0000
W 9.3501 3.5841 2.5023
W 0.3624 6.1284 2.5023
W 4.4939 1.2722 0.0000
W 5.2186 8.4403 0.0000
W 3.1017 6.6108 1.2502
W 6.6108 3.1017 1.2502
W 1.7546 1.7546 3.7525
W 7.9579 7.9579 3.7525
W 6.6108 3.1017 3.7545
W 3.1017 6.6108 3.7545
W 7.9579 7.9579 1.2522
W 1.7546 1.7546 1.2522
```

[2]
A plane-wave DFT calculation with GGA-PBE was carried out for a relaxed structure of YOs2.

Geometry as extended XYZ:
```
12
Lattice="2.6673 -4.6199 0.0000 2.6673 4.6199 0.0000 0.0000 0.0000 8.8436" Properties=species:S:1:pos:R:3 pbc="T T T"
Y 2.6673 1.5400 3.8508
Y 2.6673 -1.5400 4.9928
Y 2.6673 -1.5400 8.2725
Y 2.6673 1.5400 0.5710
Os 0.0000 0.0000 4.4218
Os 0.0000 0.0000 0.0000
Os 2.6673 -3.0265 2.2109
Os 3.9546 -0.7967 2.2109
Os 1.3799 -0.7967 2.2109
Os 2.6673 3.0265 6.6327
Os 1.3799 0.7967 6.6327
Os 3.9546 0.7967 6.6327
```

[3]
A plane-wave DFT calculation with GGA-PBE was carried out for a relaxed structure of Zn3Os.

Geometry as extended XYZ:
```
4
Lattice="-3.8396 1.4466 2.6909 -3.3004 2.7887 -2.3250 2.2622 -4.2607 -0.8969" Properties=species:S:1:pos:R:3 pbc="T T T"
Zn -2.5737 -0.3482 0.9884
Zn -2.3041 0.3228 -1.5195
Zn -3.5700 2.1177 0.1829
Os 0.0000 0.0000 0.0000
```

[4]
A plane-wave DFT calculation with GGA-PBE was carried out for a relaxed structure of Zr54Os17.

Geometry as extended XYZ:
```
71
Lattice="-7.0427 7.1366 7.3942 7.0427 -7.1366 7.3942 7.0427 7.1366 -7.3942" Properties=species:S:1:pos:R:3 pbc="T T T"
Zr 4.3442 1.6093 2.6519
Zr 2.6985 5.5273 4.7423
Zr 9.7412 -1.6093 2.6519
Zr 2.6985 8.7459 4.7423
Zr -2.6985 8.7459 4.7423
Zr 4.3442 -1.6093 2.6519
Zr -2.6985 5.5273 4.7423
Zr 9.7412 1.6093 2.6519
Zr 2.5367 1.5415 0.0000
Zr 4.5060 5.5952 7.3942
Zr 11.5487 1.5415 0.0000
Zr -4.5060 5.5952 7.3942
Zr 1.5470 0.0000 2.5135
Zr 5.4957 7.1366 4.8807
Zr 5.4957 7.1366 -4.8807
Zr 1.5470 0.0000 12.2749
Zr 0.0000 2.6659 1.5016
Zr 7.0427 4.4707 5.8926
Zr 0.0000 11.6073 1.5016
Zr 7.0427 -4.4707 5.8926
Zr 0.0000 0.0000 5.2607
Zr 0.0000 0.0000 9.5277
Zr 5.6299 0.0000 4.9530
Zr 1.4128 7.1366 2.4412
Zr 8.4556 0.0000 4.9530
Zr -1.4128 7.1366 2.4412
Zr 0.0000 5.5835 0.0000
Zr 0.0000 8.6898 0.0000
Zr 5.4989 0.0000 0.0000
Zr 8.5865 0.0000 0.0000
Zr 2.6947 4.5101 1.5921
Zr 4.3480 2.6265 5.8020
Zr 4.3480 2.6265 8.9863
Zr 4.3480 -2.6265 5.8020
Zr 2.6947 4.5101 -1.5921
Zr 2.6947 9.7632 1.5921
Zr 2.6947 9.7632 -1.5921
Zr 4.3480 -2.6265 8.9863
Zr 1.6578 2.6014 4.2287
Zr 5.3849 4.5353 3.1655
Zr 5.3849 4.5353 -3.1655
Zr -1.6578 2.6014 10.5596
Zr 1.6578 2.6014 10.5596
Zr 8.7005 4.5353 -3.1655
Zr 8.7005 4.5353 3.1655
Zr -1.6578 2.6014 4.2287
Zr 0.0000 4.5645 5.9967
Zr 7.0427 2.5721 1.3975
Zr 7.0427 2.5721 -1.3975
Zr 0.0000 4.5645 8.7917
Zr 5.2668 5.5862 0.0000
Zr 1.7759 1.5505 7.3942
Zr 1.7759 -1.5505 7.3942
Zr 5.2668 8.6871 0.0000
Os 0.0000 4.7478 3.2121
Os 7.0427 2.3888 4.1821
Os 0.0000 9.5255 3.2121
Os 7.0427 -2.3888 4.1821
Os 7.0427 0.0000 2.4400
Os 0.0000 7.1366 4.9541
Os 4.6078 3.0431 0.0000
Os 2.4349 4.0935 7.3942
Os 9.4776 3.0431 0.0000
Os -2.4349 4.0935 7.3942
Os 2.8441 0.0000 4.9871
Os 4.1986 7.1366 2.4071
Os 4.1986 7.1366 -2.4071
Os 2.8441 0.0000 9.8012
Os 0.0000 0.0000 0.0000
Os 2.7100 7.1366 0.0000
Os 4.3327 0.0000 7.3942
```

[5]
A plane-wave DFT calculation with GGA-PBE was carried out for a relaxed structure of ZrOs2.

Geometry as extended XYZ:
```
12
Lattice="2.6215 -4.5406 0.0000 2.6215 4.5406 0.0000 0.0000 0.0000 8.6114" Properties=species:S:1:pos:R:3 pbc="T T T"
Zr 2.6215 1.5135 3.7312
Zr 2.6215 -1.5135 4.8803
Zr 2.6215 -1.5135 8.0369
Zr 2.6215 1.5135 0.5746
Os 0.0000 0.0000 4.3057
Os 0.0000 0.0000 0.0000
Os 2.6215 -2.9734 2.1529
Os 3.8857 -0.7836 2.1529
Os 1.3572 -0.7836 2.1529
Os 2.6215 2.9734 6.4586
Os 1.3572 0.7836 6.4586
Os 3.8857 0.7836 6.4586
```

[6]
A plane-wave DFT calculation with GGA-PBE was carried out for a relaxed structure of ZrOs3.

Geometry as extended XYZ:
```
4
Lattice="3.9966 0.0000 0.0000 0.0000 3.9966 0.0000 0.0000 0.0000 3.9966" Properties=species:S:1:pos:R:3 pbc="T T T"
Zr 0.0000 0.0000 0.0000
Os 1.9983 1.9983 0.0000
Os 1.9983 0.0000 1.9983
Os 0.0000 1.9983 1.9983
```

[7]
A plane-wave DFT calculation with GGA-PBE was carried out for a relaxed structure of P7Pb.

Geometry as extended XYZ:
```
32
Lattice="-6.0452 0.5297 -3.3122 -3.0813 -8.2706 4.3011 -6.0809 -0.0727 11.0868" Properties=species:S:1:pos:R:3 pbc="T T T"
P -10.4358 -7.2744 8.9267
P -6.2486 -0.7126 9.5490
P -4.7716 -0.5392 3.1490
P -8.9588 -7.1010 2.5267
P -11.8251 -7.1944 12.0533
P -4.3749 -0.8350 6.6878
P -3.3822 -0.6193 0.0224
P -10.8324 -6.9786 5.3880
P -12.5327 -6.6880 8.4191
P -7.8622 -0.9738 8.0236
P -2.6746 -1.1256 3.6567
P -7.3452 -6.8398 4.0521
P -6.4470 -6.3337 9.6834
P -9.6750 -1.7025 9.1005
P -8.7603 -1.4799 2.3924
P -5.5323 -6.1111 2.9753
P -10.7873 -4.3131 10.5426
P -5.4776 -3.7106 8.1630
P -4.4200 -3.5005 1.5332
P -9.7298 -4.1030 3.9127
P -11.2595 -4.0480 6.8816
P -8.8303 -3.6405 9.7283
P -3.9479 -3.7656 5.1941
P -6.3771 -4.1731 2.3475
P -10.5434 -1.2541 5.4047
P -10.0632 -6.3892 10.9221
P -4.6640 -6.5595 6.6711
P -5.1442 -1.4244 1.1537
Pb -8.6878 -5.5544 7.4437
Pb -6.7966 -2.5377 11.6896
Pb -6.5196 -2.2592 4.6321
Pb -8.4108 -5.2759 0.3862
```

[8]
A plane-wave DFT calculation with GGA-PBE was carried out for a relaxed structure of PPbS3.

Geometry as extended XYZ:
```
20
Lattice="7.6075 0.0000 0.0000 0.0000 6.8040 0.0000 0.0000 6.5064 9.4549" Properties=species:S:1:pos:R:3 pbc="T T T"
P 2.9788 2.9507 0.6200
P 0.8250 6.2039 5.3474
P 4.6287 10.3597 8.8349
P 6.7825 7.1065 4.1074
Pb 6.6736 3.5539 2.3752
Pb 2.8698 6.5033 2.3522
Pb 0.9339 9.7565 7.0796
Pb 4.7377 6.8071 7.1027
S 6.1442 8.7730 5.0931
S 6.0817 8.9234 8.8797
S 5.3295 5.6702 4.1523
S 2.3404 7.7906 9.0892
S 3.7684 2.5946 2.4564
S 0.0354 5.8478 7.1838
S 1.5258 4.3870 0.5751
S 1.4633 4.5374 4.3618
S 3.8391 10.7158 6.9985
S 2.2780 7.6402 5.3025
S 7.5721 7.4626 2.2710
S 5.2671 5.5198 0.3657
```

[9]
A plane-wave DFT calculation with GGA-PBE was carried out for a relaxed structure of P2Pb3S8.

Geometry as extended XYZ:
```
52
Lattice="11.1932 0.0000 0.0000 0.0000 11.1932 0.0000 0.0000 0.0000 11.1932" Properties=species:S:1:pos:R:3 pbc="T T T"
P 1.7104 3.8862 7.3070
P 3.8862 7.3070 1.7104
P 7.3070 1.7104 3.8862
P 9.4828 9.4828 9.4828
P 4.7667 0.8299 10.3633
P 0.8299 10.3633 4.7667
P 10.3633 4.7667 0.8299
P 6.4265 6.4265 6.4265
Pb 0.3494 8.2396 1.5792
Pb 5.9460 8.5502 9.6140
Pb 10.8439 2.6430 4.0174
Pb 8.5502 9.6140 5.9460
Pb 4.0174 10.8439 2.6430
Pb 9.6140 5.9460 8.5502
Pb 8.2396 1.5792 0.3494
Pb 1.5792 0.3494 8.2396
Pb 2.6430 4.0174 10.8439
Pb 2.9536 7.1758 5.2473
Pb 7.1758 5.2473 2.9536
Pb 5.2473 2.9536 7.1758
S 4.9780 8.1575 3.2512
S 0.6186 3.0357 8.8478
S 3.0357 8.8478 0.6186
S 8.8478 0.6186 3.0357
S 8.6324 7.9420 10.5746
S 10.5746 8.6324 7.9420
S 2.5609 2.3454 6.2152
S 8.1575 3.2512 4.9780
S 6.2152 2.5609 2.3454
S 3.2512 4.9780 8.1575
S 2.3454 6.2152 2.5609
S 7.9420 10.5746 8.6324
S 5.2180 5.2180 5.2180
S 0.3786 5.9752 10.8146
S 10.8146 0.3786 5.9752
S 5.9752 10.8146 0.3786
S 10.6553 10.6553 10.6553
S 6.1345 0.5379 5.0587
S 5.0587 6.1345 0.5379
S 0.5379 5.0587 6.1345
S 1.0348 0.0481 2.9241
S 2.9241 1.0348 0.0481
S 0.0481 2.9241 1.0348
S 5.5485 8.2691 6.6314
S 8.5207 4.5618 11.1451
S 11.1451 8.5207 4.5618
S 2.6725 10.1585 5.6447
S 8.2691 6.6314 5.5485
S 5.6447 2.6725 10.1585
S 6.6314 5.5485 8.2691
S 10.1585 5.6447 2.6725
S 4.5618 11.1451 8.5207
```

[10]
A plane-wave DFT calculation with GGA-PBE was carried out for a relaxed structure of PPbSe3.

Geometry as extended XYZ:
```
20
Lattice="7.8113 0.0000 0.0000 0.0000 7.1270 0.0000 0.0000 6.8023 9.8483" Properties=species:S:1:pos:R:3 pbc="T T T"
P 3.0699 3.1180 0.6237
P 0.8358 6.5191 5.5478
P 4.7415 10.8113 9.2246
P 6.9755 7.4101 4.3005
Pb 6.8922 3.7295 2.4778
Pb 2.9865 6.7986 2.4463
Pb 0.9191 10.1998 7.3705
Pb 4.8248 7.1306 7.4019
Se 6.2229 9.2038 5.3780
Se 6.2972 9.2336 9.2792
Se 5.4198 5.8325 4.3550
Se 2.3172 8.1265 9.3944
Se 3.9233 2.6910 2.6190
Se 7.7937 6.0921 7.5432
Se 1.5141 4.6956 0.5691
Se 1.5884 4.7254 4.4703
Se 3.8881 11.2382 7.2292
Se 2.3916 8.0967 5.4932
Se 0.0176 7.8371 2.3051
Se 5.4941 5.8027 0.4539
```

[11]
A plane-wave DFT calculation with GGA-PBE was carried out for a relaxed structure of PPbW.

Geometry as extended XYZ:
```
3
Lattice="-0.6600 -3.7129 -2.7664 0.5322 -4.3184 1.7154 -3.7347 -2.7457 0.6225" Properties=species:S:1:pos:R:3 pbc="T T T"
P -2.8969 -8.0828 -0.3213
Pb -1.9312 -5.3885 -0.2142
W -0.9656 -2.6943 -0.1071
```

[12]
A plane-wave DFT calculation with GGA-PBE was carried out for a relaxed structure of ZnP14Pb.

Geometry as extended XYZ:
```
64
Lattice="9.9003 0.0000 0.0000 0.0000 10.6625 0.0000 0.0000 0.0000 12.9460" Properties=species:S:1:pos:R:3 pbc="T T T"
Zn 2.4751 0.0396 10.6404
Zn 2.4751 5.2917 4.1674
Zn 7.4252 10.6229 2.3056
Zn 7.4252 5.3708 8.7786
P 2.4751 9.0212 12.4933
P 2.4751 6.9725 6.0203
P 7.4252 1.6412 0.4527
P 7.4252 3.6900 6.9257
P 2.4751 9.1459 8.7350
P 2.4751 6.8478 2.2620
P 7.4252 1.5166 4.2110
P 7.4252 3.8146 10.6840
P 0.5269 1.4152 11.1665
P 4.4233 3.9160 4.6935
P 5.4771 9.2473 1.7795
P 9.3734 6.7465 8.2525
P 9.3734 9.2473 1.7795
P 5.4771 6.7465 8.2525
P 4.4233 1.4152 11.1665
P 0.5269 3.9160 4.6935
P 0.7680 3.7376 6.8735
P 4.1822 1.5937 0.4005
P 5.7181 6.9249 6.0725
P 9.1323 9.0688 12.5455
P 9.1323 6.9249 6.0725
P 5.7181 9.0688 12.5455
P 4.1822 3.7376 6.8735
P 0.7680 1.5937 0.4005
P 2.4751 2.3580 7.2439
P 2.4751 2.9733 0.7709
P 7.4252 8.3045 5.7021
P 7.4252 7.6892 12.1751
P 5.7847 2.2601 7.3486
P 9.0657 3.0712 0.8756
P 0.8346 8.4024 5.5974
P 4.1156 7.5913 12.0704
P 4.1156 8.4024 5.5974
P 0.8346 7.5913 12.0704
P 9.0657 2.2601 7.3486
P 5.7847 3.0712 0.8756
P 2.4751 4.2868 11.9059
P 2.4751 1.0444 5.4329
P 7.4252 6.3757 1.0401
P 7.4252 9.6180 7.5131
P 0.7935 9.7868 7.4313
P 4.1566 6.2070 0.9583
P 5.7437 0.8757 5.5147
P 9.1068 4.4555 11.9877
P 9.1068 0.8757 5.5147
P 5.7437 4.4555 11.9877
P 4.1566 9.7868 7.4313
P 0.7935 6.2070 0.9583
P 0.7759 3.5481 10.6850
P 4.1743 1.7831 4.2120
P 5.7260 7.1143 2.2610
P 9.1244 8.8794 8.7340
P 9.1244 7.1143 2.2610
P 5.7260 8.8794 8.7340
P 4.1743 3.5481 10.6850
P 0.7759 1.7831 4.2120
Pb 2.4751 9.6891 2.2910
Pb 2.4751 6.3046 8.7640
Pb 7.4252 0.9733 10.6550
Pb 7.4252 4.3579 4.1820
```

| no. | calculated formation energy (eV/atom) |
| --- | --- |
| 1 | 0.00 |
| 2 | -0.30 |
| 3 | 0.11 |
| 4 | -0.25 |
| 5 | -0.39 |
| 6 | -0.01 |
| 7 | 0.00 |
| 8 | -0.73 |
| 9 | -0.74 |
| 10 | -0.60 |
| 11 | 1.88 |
| 12 | -0.05 |